VASP calculation (GGA-PBE) on a geometry-optimized CsPbI3 structure.

extended XYZ file:
```
20
Lattice="4.8787 0.0000 0.0000 0.0000 10.8119 0.0000 0.0000 0.0000 18.2132" Properties=species:S:1:pos:R:3 pbc="T T T"
I 1.2197 8.6195 5.2540
I 3.6590 5.0958 7.0732
I 3.6590 7.5983 14.3606
I 3.6590 3.6352 18.2022
I 1.2197 0.3102 16.1798
I 3.6590 2.1924 12.9591
I 3.6590 10.5017 2.0334
I 3.6590 9.0412 9.1176
I 1.2197 5.7161 11.1400
I 1.2197 1.7708 9.0956
I 1.2197 7.1767 0.0110
I 1.2197 3.2136 3.8525
Pb 3.6590 3.6628 10.2138
Pb 1.2197 7.1491 7.9993
Pb 1.2197 1.7431 1.1073
Pb 3.6590 9.0688 17.1059
Cs 1.2197 9.9296 12.2430
Cs 3.6590 0.8823 5.9702
Cs 1.2197 4.5236 15.0768
Cs 3.6590 6.2883 3.1364
```

Properties
The symmetry is Pnma. The energy relative to the elements is -6.3 eV/f.u.

---

VASP calculation (GGA-PBE) on a geometry-optimized CsPbI3 structure.

extended XYZ file:
```
20
Lattice="-1.4773 6.3770 5.9611 -7.8294 1.8226 -3.8901 -5.7559 -8.4581 7.6217" Properties=species:S:1:pos:R:3 pbc="T T T"
I -8.3630 -5.8076 8.0406
I -9.5604 -1.7005 2.1240
I -2.1575 0.7587 4.5513
I -12.1399 -5.4910 5.5397
I -5.4856 -0.8619 0.2395
I -9.2791 1.7586 5.0678
I -2.9227 5.2324 4.1530
I -5.7835 -2.0171 4.6249
I -5.5022 1.4419 7.5687
I -9.5770 0.6034 9.4532
I -12.9051 -1.0172 5.1414
I -6.6996 5.5491 1.6521
Cs -10.4639 5.9737 4.0656
Cs -4.5987 -6.2323 5.6270
Cs -5.8329 1.9706 3.1205
Cs -9.2297 -2.2291 6.5721
Pb -6.7926 -3.3178 1.8658
Pb -3.9147 0.9113 -1.9451
Pb -3.6166 -1.0406 6.7914
Pb -0.7387 3.1885 2.9805
```

Properties
The symmetry is Pnma. The energy relative to the elements is -6.2 eV/f.u.

---

VASP calculation (GGA-PBE) on a geometry-optimized Cs4PbI6 structure.

extended XYZ file:
```
22
Lattice="-4.2887 9.7049 0.1466 -8.0310 -3.4828 5.9978 5.3689 2.3959 8.8338" Properties=species:S:1:pos:R:3 pbc="T T T"
I -1.3019 1.8533 7.5515
I -5.6489 6.7648 7.4267
I -5.2354 2.6864 5.2467
I -3.9213 -0.9447 11.8062
I -8.4113 -0.2404 6.3150
I 1.4605 8.8584 8.6632
I -5.1859 2.8641 9.8860
I -1.7650 5.7540 5.0922
I -9.3169 6.6890 4.9100
I 2.3660 1.9290 10.0681
I -1.7154 5.9317 9.7314
I -3.0295 9.5628 3.1720
Cs -1.4054 2.3408 11.5124
Cs -8.3621 3.6285 7.5431
Cs -5.5454 6.2772 3.4658
Cs 1.4113 4.9895 7.4351
Cs -2.3965 9.1122 7.1563
Cs -1.7377 2.1545 3.7445
Cs -5.2131 6.4635 11.2336
Cs -4.5544 -0.4942 7.8218
Pb -3.4754 4.3090 7.4891
Pb 0.0000 0.0000 0.0000
```

Properties
The symmetry is R-3c. The energy relative to the elements is -16.9 eV/f.u.

---

VASP calculation (GGA-PBE) on a geometry-optimized Cs2RbYI6 structure.

extended XYZ file:
```
10
Lattice="2.5893 4.9507 7.3435 -6.1475 2.0891 6.5563 0.5630 -4.0007 8.2957" Properties=species:S:1:pos:R:3 pbc="T T T"
Cs -0.7488 0.7598 5.5489
Cs -2.2464 2.2793 16.6466
Rb -1.4976 1.5195 11.0977
Y 0.0000 0.0000 0.0000
I -2.6019 4.4780 12.5994
I -3.9896 1.8247 8.6639
I 0.9944 1.2143 13.5316
I -0.3933 -1.4389 9.5960
I -3.6879 -0.3193 13.1097
I 0.6927 3.3584 9.0857
```

Properties
The symmetry is Fm-3m. The energy relative to the elements is -17.1 eV/f.u.

---

VASP calculation (GGA-PBE) on a geometry-optimized CsScI3 structure.

extended XYZ file:
```
10
Lattice="0.0000 0.0000 -6.6947 -4.2934 -7.4364 0.0000 -4.2934 7.4364 0.0000" Properties=species:S:1:pos:R:3 pbc="T T T"
I -6.4554 -1.2306 -5.0210
I -4.2934 4.9752 -1.6737
I -2.1314 1.2306 -1.6737
I -4.2934 -4.9752 -5.0210
I -2.1314 -1.2306 -5.0210
I -6.4554 1.2306 -1.6737
Sc 0.0000 0.0000 -3.3474
Sc 0.0000 0.0000 0.0000
Cs -4.2934 -2.4788 -1.6737
Cs -4.2934 2.4788 -5.0210
```

Properties
The symmetry is P6_3/mmc. The energy relative to the elements is -7.7 eV/f.u.

---

VASP calculation (GGA-PBE) on a geometry-optimized Cs2ScTlI6 structure.

extended XYZ file:
```
10
Lattice="-6.3759 6.1035 1.0547 -0.8223 6.6278 -5.8663 -6.9384 0.1847 -5.5536" Properties=species:S:1:pos:R:3 pbc="T T T"
Cs -10.6025 9.6870 -7.7739
Cs -3.5342 3.2290 -2.5913
Sc 0.0000 0.0000 0.0000
I -3.7032 6.5495 -5.5509
I -6.9983 3.0781 -5.3825
I -10.4335 6.3665 -4.8142
I -7.4414 6.6490 -8.5431
I -7.1384 9.8379 -4.9827
I -6.6953 6.2670 -1.8221
Tl -7.0683 6.4580 -5.1826
```

Properties
The symmetry is Fm-3m. The energy relative to the elements is -14.8 eV/f.u.

---

VASP calculation (GGA-PBE) on a geometry-optimized CsSiI3 structure.

extended XYZ file:
```
5
Lattice="4.4299 -4.2423 0.0000 4.4299 4.2423 0.0000 0.3672 0.0000 6.1226" Properties=species:S:1:pos:R:3 pbc="T T T"
I 2.5377 2.0045 3.0728
I 4.4573 0.0000 0.1799
I 2.5377 -2.0045 3.0728
Cs 0.0093 0.0000 0.0062
Si 4.2690 0.0000 2.8327
```

Properties
The symmetry is R3m. The energy relative to the elements is -4.7 eV/f.u.

---

VASP calculation (GGA-PBE) on a geometry-optimized Cs2SnI6 structure.

extended XYZ file:
```
9
Lattice="3.1653 7.0656 -3.5842 6.4340 -0.5595 -5.5748 -1.3746 1.5703 -8.2724" Properties=species:S:1:pos:R:3 pbc="T T T"
Cs 6.1685 6.0573 -13.0736
Cs 2.0562 2.0191 -4.3579
I 6.9519 5.3154 -8.9451
I 3.6222 5.6049 -6.0601
I 1.2728 2.7610 -8.4863
I 4.6025 2.4715 -11.3713
I 5.3138 1.6588 -7.0903
I 2.9108 6.4175 -10.3412
Sn 0.0000 0.0000 0.0000
```

Properties
The symmetry is Fm-3m. The energy relative to the elements is -10.5 eV/f.u.

---

What is the formula in the second record?
CsPbI3

---

The lowest energy relative to the elements belongs to which entry?
Cs2RbYI6

---

What is the formula in the second record?
CsPbI3